1.
{"formula": "Mg6BiMo", "functional": "PBE-GGA", "state": "optimized geometry", "lattice_angstrom": [[5.130, 0.000, 0.000], [0.000, 6.198, 0.000], [0.000, 0.000, 10.930]], "species": ["Mg", "Mo", "Mg", "Mg", "Mg", "Mg", "Mg", "Mg", "Mg", "Mg", "Mo", "Mg", "Mg", "Bi", "Bi", "Mg"], "frac_coords": [[0.000, 0.500, 0.338], [0.500, 0.000, 0.166], [0.500, 0.248, 0.417], [0.000, 0.000, 0.838], [0.000, 0.766, 0.083], [0.000, 0.234, 0.083], [0.500, 0.752, 0.417], [0.500, 0.252, 0.917], [0.000, 0.734, 0.583], [0.000, 0.266, 0.583], [0.500, 0.500, 0.666], [0.000, 0.500, 0.827], [0.000, 0.000, 0.327], [0.500, 0.000, 0.669], [0.500, 0.500, 0.169], [0.500, 0.748, 0.917]], "relative_energy_ev_per_atom": 0.032, "volume_a3_per_atom": 21.72, "formation_energy_ev_per_atom": 0.20}

=====

2.
{"formula": "PaInPt2", "functional": "PBE-GGA", "state": "optimized geometry", "lattice_angstrom": [[6.890, 0.000, 0.000], [0.000, 6.890, 0.000], [0.000, 0.000, 6.890]], "species": ["Pa", "Pa", "Pa", "Pa", "In", "In", "In", "In", "Pt", "Pt", "Pt", "Pt", "Pt", "Pt", "Pt", "Pt"], "frac_coords": [[0.000, 0.000, 0.000], [0.000, 0.500, 0.500], [0.500, 0.000, 0.500], [0.500, 0.500, 0.000], [0.000, 0.000, 0.500], [0.000, 0.500, 0.000], [0.500, 0.000, 0.000], [0.500, 0.500, 0.500], [0.250, 0.250, 0.250], [0.250, 0.250, 0.750], [0.250, 0.750, 0.250], [0.250, 0.750, 0.750], [0.750, 0.250, 0.250], [0.750, 0.250, 0.750], [0.750, 0.750, 0.250], [0.750, 0.750, 0.750]], "sg": "Fm-3m", "volume_a3_per_atom": 20.44, "formation_energy_ev_per_atom": -0.78}

=====

3.
{"formula": "SmGeRu", "functional": "PBE-GGA", "state": "optimized geometry", "lattice_angstrom": [[7.216, 0.000, 0.000], [0.000, 4.531, 0.000], [0.000, 0.000, 7.216]], "species": ["Sm", "Sm", "Sm", "Sm", "Ge", "Ge", "Ge", "Ge", "Ru", "Ru", "Ru", "Ru"], "frac_coords": [[0.021, 0.250, 0.188], [0.479, 0.750, 0.688], [0.521, 0.250, 0.312], [0.979, 0.750, 0.812], [0.197, 0.250, 0.606], [0.303, 0.750, 0.106], [0.697, 0.250, 0.894], [0.803, 0.750, 0.394], [0.151, 0.750, 0.433], [0.349, 0.250, 0.933], [0.651, 0.750, 0.067], [0.849, 0.250, 0.567]], "sg": "Pnma", "volume_a3_per_atom": 19.66, "formation_energy_ev_per_atom": -0.67}

=====

4.
{"formula": "Na3HfInSi2SO12", "functional": "PBE-GGA", "state": "optimized geometry", "lattice_angstrom": [[9.203, -0.023, 0.012], [-4.621, 7.958, -0.012], [0.033, -0.019, 22.770]], "species": ["O", "O", "O", "Si", "O", "In", "O", "Si", "O", "O", "Na", "Hf", "O", "Si", "O", "O", "Na", "Na", "O", "Na", "Na", "O", "O", "S", "O", "O", "O", "Hf", "Hf", "O", "O", "O", "O", "Si", "O", "Si", "S", "O", "Na", "O", "O", "O", "Hf", "S", "In", "O", "O", "O", "Hf", "O", "O", "O", "Na", "O", "Si", "O", "O", "O", "S", "O", "O", "Na", "O", "O", "O", "Na", "O", "Na", "In", "O", "O", "Si", "O", "O", "O", "O", "S", "O", "Hf", "O", "O", "O", "O", "O", "Na", "Na", "In", "O", "Na", "O", "Si", "O", "Na", "O", "O", "Si", "In", "Si", "O", "In", "O", "Na", "O", "O", "O", "O", "O", "O", "O", "O", "Na", "Si", "S", "O", "O", "Na", "O", "O", "Si", "Na"], "frac_coords": [[0.840, 0.535, 0.028], [0.640, 0.144, 0.422], [0.693, 0.519, 0.245], [0.296, 0.998, 0.253], [0.221, 0.022, 0.315], [0.325, 0.661, 0.517], [0.139, 0.689, 0.468], [0.629, 0.665, 0.920], [0.354, 0.497, 0.365], [0.027, 0.220, 0.195], [0.689, 0.672, 0.411], [0.349, 0.670, 0.314], [0.307, 0.478, 0.755], [0.040, 0.368, 0.918], [0.491, 0.152, 0.248], [0.522, 0.653, 0.579], [0.338, 0.698, 0.161], [0.302, 0.662, 0.661], [0.465, 0.160, 0.528], [0.333, 0.038, 0.408], [0.022, 0.339, 0.077], [0.151, 0.452, 0.977], [0.147, 0.640, 0.079], [0.672, 0.632, 0.582], [0.681, 0.144, 0.746], [0.530, 0.843, 0.755], [0.360, 0.887, 0.861], [0.997, 0.984, 0.147], [0.330, 0.651, 0.814], [0.113, 0.640, 0.361], [0.694, 0.554, 0.528], [0.215, 0.182, 0.811], [0.182, 0.176, 0.415], [0.002, 0.704, 0.753], [0.645, 0.112, 0.149], [0.706, 0.702, 0.252], [0.338, 0.966, 0.916], [0.818, 0.785, 0.311], [0.968, 0.995, 0.994], [0.851, 0.038, 0.088], [0.522, 0.693, 0.255], [0.978, 0.194, 0.301], [0.663, 0.317, 0.480], [0.368, 0.328, 0.082], [0.991, 0.994, 0.850], [0.814, 0.973, 0.412], [0.780, 0.973, 0.695], [0.485, 0.118, 0.644], [0.683, 0.337, 0.980], [0.472, 0.355, 0.134], [0.515, 0.842, 0.081], [0.197, 0.176, 0.088], [0.629, 0.000, 0.241], [0.296, 0.816, 0.255], [0.962, 0.331, 0.587], [0.021, 0.830, 0.699], [0.347, 0.478, 0.079], [0.629, 0.482, 0.922], [0.034, 0.662, 0.416], [0.189, 0.027, 0.589], [0.645, 0.528, 0.634], [0.666, 0.704, 0.074], [0.806, 0.022, 0.801], [0.798, 0.827, 0.194], [0.824, 0.803, 0.588], [0.661, 0.978, 0.577], [0.978, 0.779, 0.815], [0.296, 0.334, 0.574], [0.658, 0.328, 0.184], [0.170, 0.979, 0.199], [0.184, 0.704, 0.755], [0.298, 0.294, 0.752], [0.158, 0.485, 0.581], [0.189, 0.986, 0.913], [0.014, 0.811, 0.413], [0.973, 0.811, 0.089], [0.701, 0.995, 0.749], [0.836, 0.312, 0.532], [0.016, 0.003, 0.647], [0.360, 0.853, 0.579], [0.962, 0.149, 0.588], [0.688, 0.164, 0.032], [0.824, 0.818, 0.915], [0.888, 0.355, 0.649], [0.328, 0.311, 0.911], [0.672, 0.365, 0.827], [0.672, 0.342, 0.684], [0.848, 0.509, 0.748], [0.000, 0.371, 0.741], [0.548, 0.849, 0.477], [0.965, 0.627, 0.085], [0.131, 0.494, 0.861], [0.962, 0.667, 0.908], [0.856, 0.319, 0.246], [0.311, 0.861, 0.968], [0.632, 0.960, 0.418], [0.006, 0.009, 0.350], [0.373, 0.035, 0.585], [0.312, 0.446, 0.482], [0.339, 0.675, 0.017], [0.446, 0.306, 0.028], [0.995, 0.645, 0.244], [0.882, 0.515, 0.144], [0.554, 0.688, 0.982], [0.506, 0.869, 0.361], [0.157, 0.470, 0.255], [0.173, 0.202, 0.694], [0.518, 0.371, 0.422], [0.027, 0.186, 0.912], [0.856, 0.360, 0.922], [0.005, 0.032, 0.494], [0.335, 0.371, 0.420], [0.005, 0.299, 0.249], [0.863, 0.510, 0.422], [0.481, 0.307, 0.745], [0.635, 0.328, 0.327], [0.490, 0.137, 0.922], [0.503, 0.646, 0.865], [0.669, 0.038, 0.087], [0.355, 0.005, 0.744]], "energy_mp2020_ev_per_atom": -7.25, "volume_a3_per_atom": 13.88, "formation_energy_ev_per_atom": -2.70}

=====

5.
{"formula": "ErSi2", "functional": "PBE-GGA", "state": "optimized geometry", "lattice_angstrom": [[4.082, 0.000, 0.000], [-2.041, 3.535, 0.000], [0.000, 0.000, 3.887]], "species": ["Er", "Si", "Si"], "frac_coords": [[0.000, 0.000, 0.000], [0.333, 0.667, 0.500], [0.667, 0.333, 0.500]], "energy_mp2020_ev_per_atom": -5.58, "sg": "P6/mmm", "volume_a3_per_atom": 18.70, "formation_energy_ev_per_atom": -0.44}

=====

6.
{"formula": "K2YInCl6", "functional": "PBE-GGA", "state": "optimized geometry", "lattice_angstrom": [[0.000, 5.673, 5.673], [5.673, 0.000, 5.673], [5.673, 5.673, 0.000]], "species": ["K", "K", "Y", "In", "Cl", "Cl", "Cl", "Cl", "Cl", "Cl"], "frac_coords": [[0.250, 0.250, 0.250], [0.750, 0.750, 0.750], [0.000, 0.000, 0.000], [0.500, 0.500, 0.500], [0.233, 0.233, 0.767], [0.233, 0.767, 0.233], [0.233, 0.767, 0.767], [0.767, 0.233, 0.233], [0.767, 0.233, 0.767], [0.767, 0.767, 0.233]], "energy_mp2020_ev_per_atom": -4.43, "sg": "Fm-3m", "volume_a3_per_atom": 36.52, "formation_energy_ev_per_atom": -2.18}